Material: Sr2Ca6Co7CuO24
Method: DFT, PBE with a Hubbard U
State: optimized geometry

```
40
Lattice="7.636 0.000 0.000 0.000 5.386 5.384 0.000 -5.386 5.384" Properties=species:S:1:pos:R:3 pbc="T T T"
Sr 1.900 0.000 0.000
Sr 5.736 0.000 0.000
Ca 1.891 2.684 8.084
Ca 1.891 -2.684 8.084
Ca 1.892 0.000 5.405
Ca 5.745 2.684 8.084
Ca 5.745 -2.684 8.084
Ca 5.744 0.000 5.405
Co 0.000 0.000 2.713
Co 0.000 -2.678 5.394
Co 0.000 2.678 5.394
Co 3.818 0.000 2.717
Co 3.818 -2.679 5.391
Co 3.818 2.679 5.391
Co 3.818 0.000 8.069
Cu 0.000 0.000 8.080
O 0.000 -1.370 1.393
O 0.000 -3.980 4.033
O 0.000 -1.329 4.049
O 0.000 1.370 1.393
O 0.000 -1.359 6.714
O 0.000 1.329 4.049
O 0.000 3.980 4.033
O 0.000 1.359 6.714
O 1.876 0.000 2.733
O 1.927 -2.653 5.393
O 1.927 2.653 5.393
O 1.939 0.000 8.043
O 3.818 -1.370 1.376
O 3.818 -3.992 4.026
O 3.818 -1.334 4.056
O 3.818 1.370 1.376
O 3.818 -1.354 6.719
O 3.818 1.334 4.056
O 3.818 3.992 4.026
O 3.818 1.354 6.719
O 5.697 0.000 8.043
O 5.710 -2.653 5.393
O 5.710 2.653 5.393
O 5.760 0.000 2.733
```

Results
The calculation puts the calculated formation energy at -1913 meV/atom. As for the space group: Amm2, No. 38. The calculation puts the total energy at -5.915 eV per atom.